# Zr2FeTc

An optimized crystal structure of Zr2FeTc (r²SCAN, Materials Project).

Calculated values
M_tot	0.00	μB per cell
energy of formation	-0.21	eV/atom
final energy	-21.678	eV/atom

Cell lengths 6.445, 6.445, 6.445 Å; angles 90.00, 90.00, 90.00 degrees
Space group Fm-3m (No. 225)
One atom of each set of equivalent atoms:
1 Zr 0.250 0.250 0.250 (multiplicity 8)
2 Fe 0.000 0.000 0.000 (multiplicity 4)
3 Tc 0.000 0.000 0.500 (multiplicity 4)

=====

# Zr6FeTe2

An optimized crystal structure of Zr6FeTe2 (r²SCAN, Materials Project).

Calculated values
M_tot	0.82	μB per cell
energy of formation	-0.55	eV/atom
final energy	-22.967	eV/atom

Cell lengths 7.8144, 7.8144, 3.6273 Å; angles 90.00, 90.00, 120.00 degrees
Space group P-62m (No. 189)
One atom of each set of equivalent atoms:
1 Zr 0.0000 0.2416 0.0000 (multiplicity 3)
2 Zr 0.0000 0.5962 0.5000 (multiplicity 3)
3 Fe 0.0000 0.0000 0.5000 (multiplicity 1)
4 Te 0.3333 0.6667 0.0000 (multiplicity 2)

=====

# Th2Fe17

An optimized crystal structure of Th2Fe17 (r²SCAN, Materials Project).

Calculated values
M_tot	126.66	μB per cell
energy of formation	0.02	eV/atom
final energy	-20.615	eV/atom

Cell lengths 8.5517, 8.5517, 12.6555 Å; angles 90.00, 90.00, 120.00 degrees
Space group R-3m (No. 166, hexagonal axes)
One atom of each set of equivalent atoms:
1 Th 0.0000 0.0000 0.1619 (multiplicity 6)
2 Fe 0.0000 0.0000 0.4058 (multiplicity 6)
3 Fe 0.0000 0.2918 0.5000 (multiplicity 18)
4 Fe 0.0000 0.5000 0.0000 (multiplicity 9)
5 Fe 0.0029 0.5014 0.3401 (multiplicity 18)

=====

# YThFe6

An optimized crystal structure of YThFe6 (r²SCAN, Materials Project).

Calculated values
M_tot	120.05	μB per cell
energy of formation	0.03	eV/atom
final energy	-22.508	eV/atom

Cell lengths 5.1719, 5.1719, 49.5781 Å; angles 90.00, 90.00, 120.00 degrees
Space group R3m (No. 160, hexagonal axes)
One atom of each set of equivalent atoms:
1 Y 0.0000 0.0000 0.0000 (multiplicity 3)
2 Y 0.0000 0.0000 0.0691 (multiplicity 3)
3 Y 0.0000 0.0000 0.5706 (multiplicity 3)
4 Th 0.0000 0.0000 0.1404 (multiplicity 3)
5 Th 0.0000 0.0000 0.5000 (multiplicity 3)
6 Th 0.0000 0.0000 0.6412 (multiplicity 3)
7 Fe 0.0000 0.0000 0.2369 (multiplicity 3)
8 Fe 0.0000 0.0000 0.3215 (multiplicity 3)
9 Fe 0.0000 0.0000 0.4039 (multiplicity 3)
10 Fe 0.0000 0.0000 0.7369 (multiplicity 3)
11 Fe 0.0000 0.0000 0.8200 (multiplicity 3)
12 Fe 0.0000 0.0000 0.9043 (multiplicity 3)
13 Fe 0.0019 0.5009 0.0304 (multiplicity 9)
14 Fe 0.0043 0.5021 0.5304 (multiplicity 9)
15 Fe 0.1682 0.3364 0.4435 (multiplicity 9)
16 Fe 0.1686 0.3372 0.9443 (multiplicity 9)

=====

# TiFe

An optimized crystal structure of TiFe (r²SCAN, Materials Project).

Calculated values
M_tot	0.00	μB per cell
energy of formation	-0.22	eV/atom
final energy	-13.896	eV/atom

Cell lengths 2.939, 2.939, 2.939 Å; angles 90.00, 90.00, 90.00 degrees
Space group Pm-3m (No. 221)
One atom of each set of equivalent atoms:
1 Ti 0.000 0.000 0.000 (multiplicity 1)
2 Fe 0.500 0.500 0.500 (multiplicity 1)

=====

# TmFe2

An optimized crystal structure of TmFe2 (r²SCAN, Materials Project).

Calculated values
M_tot	29.26	μB per cell
energy of formation	-0.04	eV/atom
final energy	-21.356	eV/atom

Cell lengths 7.237, 7.237, 7.237 Å; angles 90.00, 90.00, 90.00 degrees
Space group Fd-3m (No. 227, origin choice 2)
One atom of each set of equivalent atoms:
1 Tm 0.125 0.125 0.125 (multiplicity 8)
2 Fe 0.000 0.000 0.500 (multiplicity 16)

=====

# UFe2

An optimized crystal structure of UFe2 (r²SCAN, Materials Project).

Calculated values
M_tot	11.57	μB per cell
energy of formation	0.03	eV/atom
final energy	-36.226	eV/atom

Cell lengths 7.117, 7.117, 7.117 Å; angles 90.00, 90.00, 90.00 degrees
Space group Fd-3m (No. 227, origin choice 2)
One atom of each set of equivalent atoms:
1 U 0.125 0.125 0.125 (multiplicity 8)
2 Fe 0.000 0.000 0.500 (multiplicity 16)

=====

# VFe

An optimized crystal structure of VFe (r²SCAN, Materials Project).

Calculated values
M_tot	0.86	μB per cell
energy of formation	-0.05	eV/atom
final energy	-14.297	eV/atom

Cell lengths 2.940, 2.940, 2.940 Å; angles 90.00, 90.00, 90.00 degrees
Space group Pm-3m (No. 221)
One atom of each set of equivalent atoms:
1 V 0.000 0.000 0.000 (multiplicity 1)
2 Fe 0.500 0.500 0.500 (multiplicity 1)

=====

# V3Fe

An optimized crystal structure of V3Fe (r²SCAN, Materials Project).

Calculated values
M_tot	0.02	μB per cell
energy of formation	-0.03	eV/atom
final energy	-14.197	eV/atom

Cell lengths 5.798, 5.798, 5.798 Å; angles 90.00, 90.00, 90.00 degrees
Space group Fm-3m (No. 225)
One atom of each set of equivalent atoms:
1 V 0.000 0.000 0.000 (multiplicity 4)
2 V 0.250 0.250 0.250 (multiplicity 8)
3 Fe 0.000 0.000 0.500 (multiplicity 4)

=====

# VFe3

An optimized crystal structure of VFe3 (r²SCAN, Materials Project).

Calculated values
M_tot	10.98	μB per cell
energy of formation	-0.09	eV/atom
final energy	-14.427	eV/atom

Cell lengths 4.087, 4.087, 5.794 Å; angles 90.00, 90.00, 90.00 degrees
Space group I4/mmm (No. 139)
One atom of each set of equivalent atoms:
1 V 0.000 0.000 0.000 (multiplicity 2)
2 Fe 0.000 0.000 0.500 (multiplicity 2)
3 Fe 0.000 0.500 0.250 (multiplicity 4)

=====

# V3Fe

An optimized crystal structure of V3Fe (r²SCAN, Materials Project).

Calculated values
M_tot	0.00	μB per cell
energy of formation	-0.05	eV/atom
final energy	-14.223	eV/atom

Cell lengths 4.619, 4.619, 4.619 Å; angles 90.00, 90.00, 90.00 degrees
Space group Pm-3n (No. 223)
One atom of each set of equivalent atoms:
1 V 0.000 0.250 0.500 (multiplicity 6)
2 Fe 0.000 0.000 0.000 (multiplicity 2)

=====

# VFe

An optimized crystal structure of VFe (r²SCAN, Materials Project).

Calculated values
M_tot	2.84	μB per cell
energy of formation	-0.02	eV/atom
final energy	-14.270	eV/atom

Cell lengths 2.968, 4.043, 4.059 Å; angles 90.00, 90.00, 90.00 degrees
Space group Cmmm (No. 65)
One atom of each set of equivalent atoms:
1 V 0.000 0.000 0.000 (multiplicity 2)
2 Fe 0.000 0.500 0.500 (multiplicity 2)